one.
The following is a DFT calculation (PBE with a Hubbard U) of Li2Fe3SnO8 after structural relaxation.

## Properties
Space group   P2_13, No. 198
Calculated volume   11.14 Å³/atom

Cell: 8.5448 8.5448 8.5448 Å, 90.00 90.00 90.00°
With the nearest neighbours (Å) after each atom.
Fractional positions:
Li: 0.1231 0.1231 0.1231  6 O 2.13-2.14
Li: 0.2491 0.2509 0.7491  4 O 1.99-2.02
Li: 0.2509 0.7491 0.2491  4 O 1.99-2.02
Li: 0.3769 0.8769 0.6231  6 O 2.13-2.14
Li: 0.6231 0.3769 0.8769  6 O 2.13-2.14
Li: 0.7491 0.2491 0.2509  4 O 1.99-2.02
Li: 0.7509 0.7509 0.7509  4 O 1.99-2.02
Li: 0.8769 0.6231 0.3769  6 O 2.13-2.14
Fe: 0.1125 0.3813 0.3754  6 O 1.91-2.13
Fe: 0.1187 0.6246 0.6125  6 O 1.91-2.13
Fe: 0.1246 0.8875 0.8813  6 O 1.91-2.13
Fe: 0.3754 0.1125 0.3813  6 O 1.91-2.13
Fe: 0.3813 0.3754 0.1125  6 O 1.91-2.13
Fe: 0.3875 0.6187 0.8754  6 O 1.91-2.13
Fe: 0.6125 0.1187 0.6246  6 O 1.91-2.13
Fe: 0.6187 0.8754 0.3875  6 O 1.91-2.13
Fe: 0.6246 0.6125 0.1187  6 O 1.91-2.13
Fe: 0.8754 0.3875 0.6187  6 O 1.91-2.13
Fe: 0.8813 0.1246 0.8875  6 O 1.91-2.13
Fe: 0.8875 0.8813 0.1246  6 O 1.91-2.13
Sn: 0.0027 0.5027 0.9973  4 O 1.99-2.02
Sn: 0.4973 0.4973 0.4973  4 O 1.99-2.02
Sn: 0.5027 0.9973 0.0027  4 O 1.99-2.02
Sn: 0.9973 0.0027 0.5027  4 O 1.99-2.02
O: 0.1112 0.1108 0.8750  2 Fe 1.91-1.97, 2 Li 1.99-2.13
O: 0.1108 0.8750 0.1112  2 Fe 1.91-1.97, 2 Li 1.99-2.13
O: 0.1128 0.3872 0.6128  1 Li 2.02, 3 Fe 2.03
O: 0.1250 0.6112 0.3892  2 Fe 1.91-1.97, 2 Li 1.99-2.13
O: 0.1268 0.8630 0.6367  1 Sn 1.99, 2 Fe 2.05-2.10, 1 Li 2.14
O: 0.1370 0.1367 0.3732  1 Sn 1.99, 2 Fe 2.05-2.10, 1 Li 2.14
O: 0.1367 0.3732 0.1370  1 Sn 1.99, 2 Fe 2.05-2.10, 1 Li 2.14
O: 0.1391 0.6391 0.8609  1 Sn 2.02, 3 Fe 2.13
O: 0.3609 0.3609 0.3609  1 Sn 2.02, 3 Fe 2.13
O: 0.3633 0.6268 0.6370  1 Sn 1.99, 2 Fe 2.05-2.10, 1 Li 2.14
O: 0.3630 0.8633 0.8732  1 Sn 1.99, 2 Fe 2.05-2.10, 1 Li 2.14
O: 0.3732 0.1370 0.1367  1 Sn 1.99, 2 Fe 2.05-2.10, 1 Li 2.14
O: 0.3750 0.3888 0.8892  2 Fe 1.91-1.97, 2 Li 1.99-2.13
O: 0.3872 0.6128 0.1128  1 Li 2.02, 3 Fe 2.03
O: 0.3892 0.1250 0.6112  2 Fe 1.91-1.97, 2 Li 1.99-2.13
O: 0.3888 0.8892 0.3750  2 Fe 1.91-1.97, 2 Li 1.99-2.13
O: 0.6112 0.3892 0.1250  2 Fe 1.91-1.97, 2 Li 1.99-2.13
O: 0.6108 0.6250 0.8888  2 Fe 1.91-1.97, 2 Li 1.99-2.13
O: 0.6128 0.1128 0.3872  1 Li 2.02, 3 Fe 2.03
O: 0.6250 0.8888 0.6108  2 Fe 1.91-1.97, 2 Li 1.99-2.13
O: 0.6268 0.6370 0.3633  1 Sn 1.99, 2 Fe 2.05-2.10, 1 Li 2.14
O: 0.6367 0.1268 0.8630  1 Sn 1.99, 2 Fe 2.05-2.10, 1 Li 2.14
O: 0.6370 0.3633 0.6268  1 Sn 1.99, 2 Fe 2.05-2.10, 1 Li 2.14
O: 0.6391 0.8609 0.1391  1 Sn 2.02, 3 Fe 2.13
O: 0.8609 0.1391 0.6391  1 Sn 2.02, 3 Fe 2.13
O: 0.8630 0.6367 0.1268  1 Sn 1.99, 2 Fe 2.05-2.10, 1 Li 2.14
O: 0.8633 0.8732 0.3630  1 Sn 1.99, 2 Fe 2.05-2.10, 1 Li 2.14
O: 0.8732 0.3630 0.8633  1 Sn 1.99, 2 Fe 2.05-2.10, 1 Li 2.14
O: 0.8750 0.1112 0.1108  2 Fe 1.91-1.97, 2 Li 1.99-2.13
O: 0.8872 0.8872 0.8872  1 Li 2.02, 3 Fe 2.03
O: 0.8892 0.3750 0.3888  2 Fe 1.91-1.97, 2 Li 1.99-2.13
O: 0.8888 0.6108 0.6250  2 Fe 1.91-1.97, 2 Li 1.99-2.13

---

two.
The following is a DFT calculation (PBE with a Hubbard U) of Li2Fe3SnO8 after structural relaxation.

## Properties
Space group   R3m, No. 160
Calculated volume   11.10 Å³/atom

Cell: 6.0151 6.0151 6.0151 Å, 60.43 60.43 60.43°
With the nearest neighbours (Å) after each atom.
Fractional positions:
Li: 0.0000 0.0000 0.0000  4 O 2.00-2.01
Li: 0.3778 0.3778 0.3778  6 O 2.11
Fe: 0.3746 0.3746 0.8986  6 O 1.94-2.15
Fe: 0.3746 0.8986 0.3746  6 O 1.94-2.15
Fe: 0.8986 0.3746 0.3746  6 O 1.94-2.15
Sn: 0.7636 0.7636 0.7636  4 O 1.99-2.02
O: 0.1318 0.1318 0.5940  2 Fe 1.94, 2 Li 2.00-2.11
O: 0.1318 0.5940 0.1318  2 Fe 1.94, 2 Li 2.00-2.11
O: 0.1366 0.1366 0.1366  1 Li 2.01, 3 Fe 2.03
O: 0.1662 0.6241 0.6241  1 Sn 1.99, 2 Fe 2.07, 1 Li 2.11
O: 0.5940 0.1318 0.1318  2 Fe 1.94, 2 Li 2.00-2.11
O: 0.6241 0.1662 0.6241  1 Sn 1.99, 2 Fe 2.07, 1 Li 2.11
O: 0.6241 0.6241 0.1662  1 Sn 1.99, 2 Fe 2.07, 1 Li 2.11
O: 0.6260 0.6260 0.6260  1 Sn 2.02, 3 Fe 2.15

---

Tell me which of them is the most stable. Sure, it is one.

---

one.
The following is a DFT calculation (PBE with a Hubbard U) of NiH2O2 after structural relaxation.

## Properties
Calculated volume   8.12 Å³/atom

Cell: 3.1646 3.1646 9.3537 Å, 90.49 90.49 60.04°
With the nearest neighbours (Å) after each atom.
Fractional positions:
Ni: 0.1052 0.8948 0.0000  6 O 2.09-2.10
Ni: 0.1052 0.8948 0.5000  6 O 2.09-2.10
H: 0.4389 0.2271 0.2867  1 O 0.97
H: 0.4389 0.2272 0.7867  1 O 0.97
H: 0.7728 0.5611 0.2133  1 O 0.97
H: 0.7729 0.5611 0.7133  1 O 0.97
O: 0.4372 0.2266 0.3907  1 H 0.97
O: 0.4372 0.2267 0.8907  1 H 0.97
O: 0.7733 0.5628 0.1093  1 H 0.97
O: 0.7734 0.5628 0.6093  1 H 0.97

---

two.
The following is a DFT calculation (PBE with a Hubbard U) of NiH2O2 after structural relaxation.

## Properties
Space group   C2/m, No. 12
Calculated volume   7.98 Å³/atom

Cell: 3.1546 3.1546 4.6188 Å, 93.28 93.28 60.40°
With the nearest neighbours (Å) after each atom.
Fractional positions:
Ni: 0.0000 0.0000 0.0000  6 O 2.08-2.10
H: 0.3075 0.3075 0.5680  1 O 0.97
H: 0.6925 0.6925 0.4320  1 O 0.97
O: 0.3193 0.3193 0.7788  1 H 0.97
O: 0.6807 0.6807 0.2212  1 H 0.97

---

Tell me which of them is the most stable. Sure, it is one.

---

one.
The following is a DFT calculation (PBE with a Hubbard U) of Li5Fe8B8O24 after structural relaxation.

## Properties
Space group   P1, No. 1
Calculated volume   10.85 Å³/atom

Cell: 5.2676 9.0806 10.2142 Å, 90.00 88.65 89.98°
With the nearest neighbours (Å) after each atom.
Fractional positions:
Li: 0.0000 0.0000 0.0000  4 O 1.92-2.13
Li: 0.0074 0.0211 0.4981  4 O 1.93-2.05
Li: 0.3206 0.0108 0.2389  4 O 2.00-2.16
Li: 0.5016 0.4909 0.9911  4 O 1.92-2.07
Li: 0.8191 0.5078 0.7156  4 O 1.99-2.21
Fe: 0.0017 0.6621 0.9673  5 O 1.99-2.22
Fe: 0.3220 0.3325 0.7104  5 O 1.92-2.14
Fe: 0.3240 0.6686 0.2154  4 O 1.90-2.00
Fe: 0.4976 0.1631 0.9628  4 O 1.98-2.13
Fe: 0.5105 0.8380 0.4653  4 O 2.01-2.24
Fe: 0.8097 0.1847 0.2168  3 O 1.99-2.06
Fe: 0.8203 0.8418 0.7161  5 O 1.91-2.09
Fe: 0.9967 0.3515 0.4645  4 O 1.97-2.12
B: 0.0036 0.6804 0.4740  3 O 1.34-1.43
B: 0.3134 0.3378 0.2101  3 O 1.37-1.41
B: 0.3277 0.6682 0.7175  3 O 1.37-1.40
B: 0.4952 0.1642 0.4677  3 O 1.38-1.40
B: 0.4982 0.8357 0.9666  3 O 1.36-1.42
B: 0.8208 0.1754 0.7133  3 O 1.36-1.40
B: 0.8356 0.8384 0.2076  3 O 1.38-1.40
B: 0.9930 0.3358 0.9538  3 O 1.38-1.41
O: 0.0701 0.6844 0.7532  1 B 1.40
O: 0.0757 0.3290 0.2666  1 B 1.37
O: 0.2374 0.6911 0.4058  1 B 1.40
O: 0.2524 0.3368 0.9177  1 B 1.41
O: 0.3579 0.0383 0.4407  1 B 1.38
O: 0.3576 0.9611 0.9784  1 B 1.36
O: 0.3662 0.2871 0.5198  1 B 1.40
O: 0.3947 0.6999 0.0053  1 B 1.40
O: 0.4270 0.4708 0.1830  1 B 1.37
O: 0.4413 0.5321 0.7221  1 B 1.37
O: 0.4434 0.2078 0.1757  1 B 1.41
O: 0.4692 0.7904 0.6797  1 B 1.39
O: 0.5718 0.1884 0.7585  1 B 1.39
O: 0.5791 0.8266 0.2462  1 B 1.40
O: 0.7524 0.1704 0.4384  1 B 1.38
O: 0.7529 0.8406 0.9185  1 B 1.42
O: 0.8534 0.4632 0.9434  1 B 1.38
O: 0.8833 0.2051 0.9984  1 B 1.39
O: 0.8856 0.5539 0.5047  1 B 1.34
O: 0.8911 0.8160 0.5159  1 B 1.43
O: 0.9312 0.0409 0.6947  1 B 1.36
O: 0.9530 0.9737 0.2014  1 B 1.38
O: 0.9560 0.3053 0.6875  1 B 1.40
O: 0.9701 0.7119 0.1710  1 B 1.40

---

two.
The following is a DFT calculation (PBE with a Hubbard U) of Li5Fe8B8O24 after structural relaxation.

## Properties
Space group   P1, No. 1
Calculated volume   10.74 Å³/atom

Cell: 5.2202 9.0534 11.4010 Å, 67.15 77.70 89.62°
With the nearest neighbours (Å) after each atom.
Fractional positions:
Li: 0.0000 0.0000 0.0000  3 O 2.00-2.05
Li: 0.0321 0.0349 0.2626  4 O 2.01-2.10
Li: 0.2538 0.2512 0.4945  3 O 1.87-1.99
Li: 0.7597 0.7378 0.5118  4 O 1.98-2.04
Li: 0.8051 0.7675 0.7672  4 O 1.93-2.07
Fe: 0.0249 0.3438 0.9890  5 O 1.95-2.08
Fe: 0.0507 0.6991 0.2365  5 O 1.93-2.08
Fe: 0.2600 0.9201 0.4888  5 O 2.00-2.23
Fe: 0.3241 0.6110 0.7375  3 O 2.00-2.08
Fe: 0.5159 0.8204 0.9910  4 O 1.93-2.15
Fe: 0.5569 0.2193 0.2339  4 O 1.97-2.17
Fe: 0.7467 0.4234 0.4823  3 O 1.97-2.16
Fe: 0.7912 0.1254 0.7362  5 O 1.91-2.08
B: 0.0197 0.6687 0.9833  3 O 1.35-1.42
B: 0.0576 0.3781 0.2406  3 O 1.34-1.43
B: 0.2620 0.5876 0.4810  3 O 1.35-1.43
B: 0.2925 0.9536 0.7347  3 O 1.38-1.41
B: 0.5212 0.1664 0.9851  3 O 1.38-1.41
B: 0.5485 0.8816 0.2342  3 O 1.39-1.41
B: 0.7567 0.0852 0.4886  3 O 1.37-1.41
B: 0.8258 0.4615 0.7344  3 O 1.39
O: 0.0250 0.6242 0.4350  1 B 1.43
O: 0.0333 0.4310 0.7969  1 B 1.39
O: 0.1136 0.7721 0.0346  1 B 1.42
O: 0.1455 0.0777 0.7444  1 B 1.38
O: 0.1807 0.5545 0.9593  1 B 1.40
O: 0.1914 0.8380 0.7011  1 B 1.39
O: 0.2527 0.1694 0.9933  1 B 1.39
O: 0.2951 0.3638 0.2685  1 B 1.34
O: 0.3699 0.4486 0.4905  1 B 1.35
O: 0.3749 0.6949 0.5204  1 B 1.40
O: 0.4061 0.9896 0.2748  1 B 1.39
O: 0.4214 0.7803 0.1948  1 B 1.39
O: 0.5131 0.1135 0.4617  1 B 1.37
O: 0.5441 0.9416 0.7626  1 B 1.41
O: 0.6545 0.2591 0.0287  1 B 1.38
O: 0.6656 0.0618 0.9364  1 B 1.41
O: 0.7147 0.6072 0.7070  1 B 1.39
O: 0.7375 0.3506 0.6920  1 B 1.39
O: 0.7816 0.6858 0.9526  1 B 1.35
O: 0.8209 0.8780 0.2256  1 B 1.41
O: 0.8706 0.1859 0.5359  1 B 1.41
O: 0.8930 0.4904 0.2691  1 B 1.41
O: 0.8940 0.9634 0.4656  1 B 1.39
O: 0.9538 0.2754 0.1905  1 B 1.43

---

Tell me which of them is the most stable. Sure, it is one.

---

one.
The following is a DFT calculation (PBE with a Hubbard U) of Li5Fe8B8O24 after structural relaxation.

## Properties
Space group   P1, No. 1
Calculated volume   10.75 Å³/atom

Cell: 5.2562 9.0857 11.3692 Å, 66.71 77.14 89.91°
With the nearest neighbours (Å) after each atom.
Fractional positions:
Li: 0.0000 0.0000 0.0000  4 O 1.88-2.09
Li: 0.0688 0.4023 0.2408  4 O 1.99-2.15
Li: 0.2517 0.2786 0.5028  4 O 1.92-2.02
Li: 0.5089 0.5046 0.9986  4 O 1.91-2.10
Li: 0.7481 0.7721 0.5031  3 O 1.89-2.01
Fe: 0.0270 0.6886 0.9619  5 O 1.98-2.21
Fe: 0.0787 0.0691 0.2171  4 O 1.90-2.07
Fe: 0.2768 0.6273 0.4665  4 O 1.98-2.14
Fe: 0.3274 0.9861 0.7200  4 O 1.90-2.05
Fe: 0.5265 0.1843 0.9663  4 O 1.96-2.15
Fe: 0.5853 0.5844 0.2160  3 O 1.97-2.06
Fe: 0.7673 0.1251 0.4671  5 O 2.00-2.23
Fe: 0.8305 0.4846 0.7184  5 O 1.90-2.12
B: 0.0276 0.3587 0.9690  3 O 1.36-1.41
B: 0.0842 0.7384 0.2129  3 O 1.36-1.40
B: 0.2769 0.9537 0.4646  3 O 1.35-1.43
B: 0.3295 0.3263 0.7130  3 O 1.37-1.39
B: 0.5329 0.8622 0.9610  3 O 1.36-1.42
B: 0.5691 0.2427 0.2123  3 O 1.35-1.42
B: 0.7768 0.4502 0.4661  3 O 1.38-1.41
B: 0.8289 0.8262 0.7111  3 O 1.37-1.39
O: 0.0423 0.9726 0.4190  1 B 1.43
O: 0.0511 0.8248 0.7565  1 B 1.38
O: 0.1118 0.2027 0.0101  1 B 1.41
O: 0.1627 0.4798 0.9774  1 B 1.36
O: 0.1993 0.4644 0.6795  1 B 1.39
O: 0.2378 0.1963 0.6968  1 B 1.37
O: 0.2934 0.6994 0.2678  1 B 1.36
O: 0.2943 0.8883 0.9194  1 B 1.42
O: 0.3579 0.0681 0.5067  1 B 1.41
O: 0.4173 0.8276 0.4686  1 B 1.35
O: 0.4521 0.1305 0.1797  1 B 1.40
O: 0.4535 0.3788 0.2035  1 B 1.35
O: 0.5358 0.4616 0.4357  1 B 1.38
O: 0.5501 0.3222 0.7611  1 B 1.38
O: 0.6183 0.7090 0.9978  1 B 1.39
O: 0.6697 0.9860 0.9652  1 B 1.36
O: 0.6980 0.9649 0.6740  1 B 1.39
O: 0.7389 0.6947 0.6963  1 B 1.37
O: 0.7958 0.3849 0.9233  1 B 1.41
O: 0.8100 0.2136 0.2500  1 B 1.42
O: 0.8650 0.5574 0.5132  1 B 1.41
O: 0.9343 0.3351 0.4459  1 B 1.39
O: 0.9751 0.6286 0.1746  1 B 1.40
O: 0.9816 0.8841 0.1920  1 B 1.38

---

two.
The following is a DFT calculation (PBE with a Hubbard U) of Li5Fe8B8O24 after structural relaxation.

## Properties
Space group   P1, No. 1
Calculated volume   10.76 Å³/atom

Cell: 5.2531 9.0578 11.3934 Å, 66.93 77.22 89.70°
With the nearest neighbours (Å) after each atom.
Fractional positions:
Li: 0.0000 0.0000 0.0000  4 O 2.01-2.17
Li: 0.0296 0.0329 0.2575  4 O 1.92-2.08
Li: 0.2613 0.2334 0.5185  4 O 2.03-2.11
Li: 0.5239 0.5290 0.2592  4 O 1.90-2.12
Li: 0.7991 0.7632 0.7661  3 O 1.87-2.01
Fe: 0.0281 0.3462 0.9764  5 O 1.95-2.14
Fe: 0.0436 0.7116 0.2277  5 O 2.01-2.17
Fe: 0.2778 0.9138 0.4805  5 O 1.92-2.10
Fe: 0.3246 0.6127 0.7318  3 O 1.94-2.11
Fe: 0.5176 0.8247 0.9825  3 O 1.93-2.08
Fe: 0.5437 0.2189 0.2208  4 O 1.97-2.14
Fe: 0.7711 0.4266 0.4862  4 O 1.92-1.98
Fe: 0.7975 0.1179 0.7361  4 O 2.00-2.13
B: 0.0247 0.6738 0.9748  3 O 1.35-1.40
B: 0.0484 0.3778 0.2310  3 O 1.36-1.41
B: 0.2693 0.5856 0.4746  3 O 1.37-1.39
B: 0.3096 0.9590 0.7198  3 O 1.36-1.43
B: 0.5252 0.1671 0.9803  3 O 1.38-1.39
B: 0.5586 0.8763 0.2294  3 O 1.38-1.41
B: 0.7773 0.0944 0.4738  3 O 1.37-1.40
B: 0.8214 0.4638 0.7295  3 O 1.35-1.40
O: 0.0353 0.5997 0.4353  1 B 1.39
O: 0.0388 0.4283 0.7845  1 B 1.40
O: 0.1269 0.7798 0.0187  1 B 1.40
O: 0.1752 0.5574 0.9484  1 B 1.40
O: 0.1818 0.0918 0.7143  1 B 1.36
O: 0.2030 0.8471 0.6792  1 B 1.43
O: 0.2594 0.1740 0.9868  1 B 1.38
O: 0.3022 0.3784 0.2409  1 B 1.36
O: 0.3509 0.6930 0.5189  1 B 1.37
O: 0.3965 0.9752 0.2776  1 B 1.41
O: 0.4187 0.4615 0.4657  1 B 1.39
O: 0.4488 0.7607 0.1991  1 B 1.39
O: 0.5259 0.0986 0.4504  1 B 1.40
O: 0.5429 0.9297 0.7596  1 B 1.39
O: 0.6569 0.2652 0.0205  1 B 1.39
O: 0.6655 0.0573 0.9416  1 B 1.39
O: 0.6959 0.5957 0.7247  1 B 1.35
O: 0.7426 0.3600 0.6769  1 B 1.40
O: 0.7806 0.6854 0.9537  1 B 1.35
O: 0.8265 0.8993 0.2094  1 B 1.38
O: 0.8650 0.2078 0.5140  1 B 1.40
O: 0.8796 0.4790 0.2713  1 B 1.41
O: 0.9429 0.9855 0.4527  1 B 1.37
O: 0.9486 0.2730 0.1848  1 B 1.40

---

Tell me which of them is the most stable. Sure, it is one.